(1)
! Na2VSiCO7, optimized geometry, DFT PBE with a Hubbard U; values from VASP
! Total energy in eV per cell: -336.0
&SYSTEM
  ibrav = 0, nat = 48, ntyp = 5
/
ATOMIC_SPECIES
Na 22.99 Na.upf
V 50.94 V.upf
Si 28.09 Si.upf
C 12.01 C.upf
O 16.00 O.upf
ATOMIC_POSITIONS angstrom
Na 2.0406 3.3082 1.2984
Na 2.2513 3.3081 6.6984
Na 2.0406 0.0009 1.2984
Na 2.2513 0.0010 6.6985
Na -1.6194 3.3101 9.5031
Na -1.8298 3.3100 4.1027
Na -1.6194 6.6173 9.5031
Na -1.8298 6.6174 4.1027
V -5.6337 4.9637 4.2165
V -2.9836 1.6546 6.4541
V 3.4048 4.9637 4.3460
V 6.0554 1.6546 6.5824
Si 4.0638 1.6546 4.0069
Si -4.9752 1.6546 3.8793
Si -3.6420 4.9637 6.7919
Si 5.3967 4.9637 6.9217
C 0.9075 4.9637 3.9391
C 1.1185 4.9637 9.3395
C -0.4872 1.6546 6.8622
C -0.6976 1.6546 1.4620
O 0.5359 1.6546 1.6949
O 0.7463 1.6546 7.0954
O -0.1156 4.9637 9.1069
O -0.3264 4.9637 3.7066
O 1.4447 4.9637 5.1359
O -7.5935 4.9637 5.0069
O -1.0239 1.6546 5.6650
O 8.0152 1.6546 5.7937
O 1.8264 4.9637 2.9849
O 2.0371 4.9637 8.3847
O -1.4066 1.6546 7.8161
O -1.6171 1.6546 2.4155
O -5.1092 4.9637 6.0086
O 3.9294 4.9637 6.1377
O 5.5315 1.6546 4.7911
O -3.5075 1.6546 4.6626
O -4.3867 1.6546 7.6529
O 4.6520 1.6546 7.7813
O 4.8078 4.9637 3.1479
O -4.2311 4.9637 3.0187
O 3.2263 0.3158 4.3811
O -5.8124 0.3158 4.2526
O 3.2263 2.9934 4.3811
O -5.8124 2.9934 4.2525
O -2.8041 3.6250 6.4188
O 6.2348 3.6250 6.5480
O -2.8041 6.3025 6.4188
O 6.2348 6.3024 6.5480
CELL_PARAMETERS angstrom
0.0000 6.6183 0.0000
-8.8281 0.0000 5.2715
9.2494 0.0000 5.5291


(2)
! NiCO4, optimized geometry, DFT PBE with a Hubbard U; values from VASP
! Symmetry: P2_1/c (14)
! Total energy in eV per cell: -150.7
&SYSTEM
  ibrav = 0, nat = 24, ntyp = 3
/
ATOMIC_SPECIES
Ni 58.69 Ni.upf
C 12.01 C.upf
O 16.00 O.upf
ATOMIC_POSITIONS angstrom
Ni 0.6892 1.8786 0.9511
Ni 0.5190 2.6336 5.5699
Ni 2.2907 6.3907 3.6677
Ni 2.1206 7.1457 8.2865
C 0.6060 5.6044 6.1787
C 0.7761 7.9320 1.5599
C 2.0337 1.0922 7.6777
C 2.2038 3.4199 3.0589
O 0.2609 0.4325 4.5188
O 0.0908 4.0796 9.1376
O 0.7355 0.1195 1.8759
O 0.5654 4.3927 6.4947
O 0.5560 6.5292 7.1127
O 0.7261 7.0072 2.4939
O 0.6962 6.0097 4.9315
O 0.8663 7.5267 0.3127
O 1.9435 1.4976 8.9249
O 2.1136 3.0146 4.3061
O 2.0837 2.0170 6.7437
O 2.2538 2.4951 2.1249
O 2.2444 4.6316 2.7429
O 2.0743 8.9048 7.3617
O 2.7190 4.9447 0.1000
O 2.5489 8.5917 4.7188
CELL_PARAMETERS angstrom
3.1500 0.0000 0.0000
0.0000 9.0243 0.0000
-0.3402 0.0000 9.2376


no.,spin magnetization (μB/f.u.)
1,1.0
2,1.0